(1)
Here is CeSe2 after structural relaxation from the Materials Project. Energies are from PBE.

Output
Symmetry: C2 (5)
Final energy, eV for the cell shown: -64.9
Corrected total energy (MP2020 scheme), eV/cell: -68.69
Crystal system: monoclinic

a = 8.7441 Å, b = 8.7441 Å, c = 9.1009 Å
α = 96.58°, β = 96.58°, γ = 100.98°
Atoms (fractional coordinates):
Ce: 0.1296 0.3811 0.7935
Ce: 0.1902 0.1902 0.2839
Ce: 0.6189 0.8704 0.2065
Ce: 0.8098 0.8098 0.7161
Se: 0.0594 0.6709 0.7734
Se: 0.2747 0.3794 0.0758
Se: 0.3038 0.3254 0.5708
Se: 0.3291 0.9406 0.2266
Se: 0.6206 0.7253 0.9242
Se: 0.6746 0.6962 0.4292
Se: 0.8677 0.1199 0.2548
Se: 0.8801 0.1323 0.7452

(2)
Here is U2CuSi3 after structural relaxation from the Materials Project. Energies are from PBE.

Output
Symmetry: Pmm2 (25)
Final energy, eV for the cell shown: -44.5
Corrected total energy (MP2020 scheme), eV/cell: -44.33
Energy relative to the lowest polymorph listed for this composition, meV per atom: 6.5
Crystal system: orthorhombic

a = 3.8963 Å, b = 4.0195 Å, c = 6.9400 Å
α = 90.00°, β = 90.00°, γ = 90.00°
Atoms (fractional coordinates):
U: 0.0000 0.0000 0.0000
U: 0.0000 0.5000 0.4801
Cu: 0.5000 0.5000 0.8196
Si: 0.5000 0.0000 0.3258
Si: 0.5000 0.0000 0.6585
Si: 0.5000 0.5000 0.1526

(3)
Here is NaSn2Pd3 after structural relaxation from the Materials Project. Energies are from PBE.

Output
Symmetry: P6mm (183)
Final energy, eV for the cell shown: -27.8
Crystal system: hexagonal

a = 5.8175 Å, b = 5.8175 Å, c = 4.3289 Å
α = 90.00°, β = 90.00°, γ = 120.00°
Atoms (fractional coordinates):
Na: 0.0000 0.0000 0.0000
Sn: 0.3333 0.6667 0.3295
Sn: 0.6667 0.3333 0.3295
Pd: 0.0000 0.5000 0.8284
Pd: 0.5000 0.0000 0.8284
Pd: 0.5000 0.5000 0.8284

final energy of number 2 (U2CuSi3)?
-44.5 eV for the cell shown

Which formula does entry 2 have?
U2CuSi3

The highest final energy belongs to which entry?
NaSn2Pd3

Among the records above, which one has the highest final energy?
NaSn2Pd3